# 1
RhN2 after structural relaxation, computed with PBE.

Total DFT energy (no corrections)   -7.649 eV per atom
Space-group type   No. 14
E (MP2020)   -94.68 eV per cell
E_form   0.1228 eV per atom

Lattice parameters (Å, degrees): 4.935 4.913 4.961 90.00 109.03 90.00
Fractional positions:
Rh: 0.240 0.002 0.230
Rh: 0.240 0.498 0.730
Rh: 0.760 0.502 0.270
Rh: 0.760 0.998 0.770
N: 0.190 0.086 0.800
N: 0.190 0.414 0.300
N: 0.315 0.584 0.175
N: 0.315 0.916 0.675
N: 0.685 0.084 0.325
N: 0.685 0.416 0.825
N: 0.810 0.586 0.700
N: 0.810 0.914 0.200



# 2
SrRhN2 after structural relaxation, computed with PBE.

Total DFT energy (no corrections)   -6.485 eV per atom
Space-group type   No. 14
E (MP2020)   -106.65 eV per cell
E_form   -0.2337 eV per atom

Lattice parameters (Å, degrees): 6.088 8.357 5.329 90.00 110.66 90.00
Fractional positions:
Sr: 0.166 0.103 0.346
Sr: 0.166 0.397 0.846
Sr: 0.834 0.603 0.154
Sr: 0.834 0.897 0.654
Rh: 0.393 0.642 0.430
Rh: 0.393 0.858 0.930
Rh: 0.607 0.142 0.070
Rh: 0.607 0.358 0.570
N: 0.258 0.085 0.908
N: 0.258 0.415 0.408
N: 0.267 0.678 0.041
N: 0.267 0.822 0.541
N: 0.733 0.178 0.459
N: 0.733 0.322 0.959
N: 0.742 0.585 0.592
N: 0.742 0.915 0.092



Copy entry 2 word for word.
SrRhN2 after structural relaxation, computed with PBE.

Total DFT energy (no corrections)   -6.485 eV per atom
Space-group type   No. 14
E (MP2020)   -106.65 eV per cell
E_form   -0.2337 eV per atom

Lattice parameters (Å, degrees): 6.088 8.357 5.329 90.00 110.66 90.00
Fractional positions:
Sr: 0.166 0.103 0.346
Sr: 0.166 0.397 0.846
Sr: 0.834 0.603 0.154
Sr: 0.834 0.897 0.654
Rh: 0.393 0.642 0.430
Rh: 0.393 0.858 0.930
Rh: 0.607 0.142 0.070
Rh: 0.607 0.358 0.570
N: 0.258 0.085 0.908
N: 0.258 0.415 0.408
N: 0.267 0.678 0.041
N: 0.267 0.822 0.541
N: 0.733 0.178 0.459
N: 0.733 0.322 0.959
N: 0.742 0.585 0.592
N: 0.742 0.915 0.092